Entry 1:
{
  "formula": "RbIn3O5",
  "functional": "PBE-GGA",
  "state": "optimized geometry",
  "e_form_mev_per_atom": -1929,
  "dft_energy_ev_per_fu": -47.90,
  "crystal_system": "orthorhombic",
  "cell": [[-0.968, -0.094, -3.198], [6.860, 6.639, -2.272], [11.131, -12.528, -2.998]],
  "species": ["Rb", "Rb", "Rb", "Rb", "In", "In", "In", "In", "In", "In", "In", "In", "In", "In", "In", "In", "O", "O", "O", "O", "O", "O", "O", "O", "O", "O", "O", "O", "O", "O", "O", "O", "O", "O", "O", "O"],
  "frac_coords": [[0.750, 0.501, 0.384], [0.250, 0.499, 0.616], [0.250, 0.999, 0.884], [0.750, 0.001, 0.116], [0.750, 0.845, 0.303], [0.250, 0.155, 0.697], [0.250, 0.655, 0.803], [0.750, 0.345, 0.197], [0.750, 0.651, 0.977], [0.250, 0.349, 0.023], [0.250, 0.849, 0.477], [0.750, 0.151, 0.523], [0.750, 0.862, 0.648], [0.250, 0.138, 0.352], [0.250, 0.638, 0.148], [0.750, 0.362, 0.852], [0.750, 0.997, 0.424], [0.250, 0.003, 0.576], [0.250, 0.503, 0.924], [0.750, 0.497, 0.076], [0.750, 0.751, 0.535], [0.250, 0.249, 0.465], [0.250, 0.749, 0.035], [0.750, 0.251, 0.965], [0.750, 0.746, 0.192], [0.250, 0.254, 0.808], [0.250, 0.754, 0.692], [0.750, 0.246, 0.308], [0.750, 0.756, 0.867], [0.250, 0.244, 0.133], [0.250, 0.744, 0.367], [0.750, 0.256, 0.633], [0.750, 0.523, 0.769], [0.250, 0.477, 0.231], [0.250, 0.977, 0.269], [0.750, 0.023, 0.731]]
}



Entry 2:
{
  "formula": "Sr3InRhO6",
  "functional": "PBE-GGA",
  "state": "optimized geometry",
  "e_form_mev_per_atom": -2487,
  "dft_energy_ev_per_fu": -68.11,
  "crystal_system": "trigonal",
  "cell": [[-1.505, 6.637, 0.461], [-5.950, -1.269, -3.085], [-2.770, -1.187, 6.120]],
  "species": ["Sr", "Sr", "Sr", "Sr", "Sr", "Sr", "In", "In", "Rh", "Rh", "O", "O", "O", "O", "O", "O", "O", "O", "O", "O", "O", "O"],
  "frac_coords": [[0.881, 0.250, 0.619], [0.250, 0.619, 0.881], [0.381, 0.119, 0.750], [0.750, 0.381, 0.119], [0.119, 0.750, 0.381], [0.619, 0.881, 0.250], [0.250, 0.250, 0.250], [0.750, 0.750, 0.750], [0.500, 0.500, 0.500], [0.000, 0.000, 0.000], [0.710, 0.040, 0.906], [0.960, 0.094, 0.290], [0.790, 0.594, 0.460], [0.594, 0.460, 0.790], [0.460, 0.790, 0.594], [0.040, 0.906, 0.710], [0.406, 0.540, 0.210], [0.290, 0.960, 0.094], [0.210, 0.406, 0.540], [0.540, 0.210, 0.406], [0.906, 0.710, 0.040], [0.094, 0.290, 0.960]]
}



Entry 3:
{
  "formula": "InSO5",
  "functional": "PBE-GGA",
  "state": "optimized geometry",
  "e_form_mev_per_atom": -1628,
  "dft_energy_ev_per_fu": -39.59,
  "crystal_system": "orthorhombic",
  "cell": [[0.000, -6.696, 0.000], [-7.926, 0.000, 0.000], [0.000, 0.000, -7.706]],
  "species": ["In", "In", "In", "In", "S", "S", "S", "S", "O", "O", "O", "O", "O", "O", "O", "O", "O", "O", "O", "O", "O", "O", "O", "O", "O", "O", "O", "O"],
  "frac_coords": [[0.750, 0.639, 0.260], [0.250, 0.361, 0.740], [0.250, 0.861, 0.760], [0.750, 0.139, 0.240], [0.750, 0.877, 0.872], [0.250, 0.123, 0.128], [0.250, 0.623, 0.372], [0.750, 0.377, 0.628], [0.927, 0.872, 0.753], [0.073, 0.128, 0.247], [0.073, 0.628, 0.253], [0.427, 0.128, 0.247], [0.927, 0.372, 0.747], [0.573, 0.872, 0.753], [0.573, 0.372, 0.747], [0.427, 0.628, 0.253], [0.750, 0.892, 0.349], [0.250, 0.108, 0.651], [0.250, 0.608, 0.849], [0.750, 0.392, 0.151], [0.750, 0.727, 0.985], [0.250, 0.273, 0.015], [0.250, 0.773, 0.485], [0.750, 0.227, 0.515], [0.750, 0.538, 0.529], [0.250, 0.462, 0.471], [0.250, 0.962, 0.029], [0.750, 0.038, 0.971]]
}



Entry 4:
{
  "formula": "In2SiSn2S5O24",
  "functional": "PBE-GGA",
  "state": "optimized geometry",
  "e_form_mev_per_atom": -1970,
  "dft_energy_ev_per_fu": -208.89,
  "crystal_system": "triclinic",
  "cell": [[-5.200, -3.517, -6.244], [-2.639, 0.026, 8.494], [-10.214, 20.406, -3.116]],
  "species": ["In", "In", "In", "In", "In", "In", "Si", "Si", "Si", "Sn", "Sn", "Sn", "Sn", "Sn", "Sn", "S", "S", "S", "S", "S", "S", "S", "S", "S", "S", "S", "S", "S", "S", "S", "O", "O", "O", "O", "O", "O", "O", "O", "O", "O", "O", "O", "O", "O", "O", "O", "O", "O", "O", "O", "O", "O", "O", "O", "O", "O", "O", "O", "O", "O", "O", "O", "O", "O", "O", "O", "O", "O", "O", "O", "O", "O", "O", "O", "O", "O", "O", "O", "O", "O", "O", "O", "O", "O", "O", "O", "O", "O", "O", "O", "O", "O", "O", "O", "O", "O", "O", "O", "O", "O", "O", "O"],
  "frac_coords": [[0.991, 0.001, 0.357], [0.003, 0.002, 0.855], [0.676, 0.335, 0.685], [0.660, 0.334, 0.184], [0.659, 0.332, 0.983], [0.330, 0.664, 0.812], [0.963, 0.338, 0.584], [0.373, 0.334, 0.083], [0.618, 0.955, 0.418], [0.997, 0.005, 0.645], [0.006, 0.006, 0.147], [0.672, 0.320, 0.480], [0.335, 0.661, 0.021], [0.334, 0.666, 0.520], [0.338, 0.672, 0.315], [0.287, 0.995, 0.252], [0.711, 0.710, 0.250], [0.002, 0.298, 0.251], [0.294, 0.291, 0.750], [0.999, 0.713, 0.750], [0.709, 0.999, 0.751], [0.372, 0.040, 0.584], [0.667, 0.623, 0.583], [0.963, 0.630, 0.083], [0.667, 0.037, 0.083], [0.625, 0.668, 0.916], [0.039, 0.376, 0.917], [0.335, 0.954, 0.917], [0.339, 0.378, 0.418], [0.042, 0.664, 0.417], [0.206, 0.023, 0.303], [0.818, 0.791, 0.301], [0.972, 0.190, 0.302], [0.217, 0.183, 0.803], [0.972, 0.793, 0.802], [0.818, 0.029, 0.803], [0.788, 0.966, 0.698], [0.180, 0.209, 0.698], [0.031, 0.826, 0.696], [0.788, 0.823, 0.196], [0.037, 0.221, 0.198], [0.178, 0.963, 0.199], [0.888, 0.376, 0.642], [0.477, 0.115, 0.636], [0.631, 0.516, 0.636], [0.893, 0.520, 0.136], [0.636, 0.111, 0.136], [0.488, 0.373, 0.141], [0.448, 0.293, 0.025], [0.858, 0.555, 0.031], [0.708, 0.147, 0.031], [0.445, 0.154, 0.532], [0.697, 0.545, 0.530], [0.842, 0.300, 0.527], [0.545, 0.701, 0.968], [0.152, 0.457, 0.969], [0.302, 0.841, 0.970], [0.529, 0.832, 0.475], [0.301, 0.453, 0.468], [0.149, 0.692, 0.468], [0.114, 0.624, 0.363], [0.498, 0.873, 0.359], [0.370, 0.485, 0.363], [0.116, 0.483, 0.864], [0.361, 0.874, 0.865], [0.516, 0.638, 0.864], [0.033, 0.823, 0.408], [0.806, 0.972, 0.411], [0.188, 0.204, 0.409], [0.025, 0.204, 0.911], [0.176, 0.969, 0.912], [0.798, 0.827, 0.910], [0.982, 0.163, 0.591], [0.194, 0.017, 0.592], [0.828, 0.797, 0.591], [0.975, 0.802, 0.092], [0.819, 0.010, 0.092], [0.178, 0.160, 0.092], [0.688, 0.151, 0.744], [0.467, 0.309, 0.741], [0.842, 0.543, 0.744], [0.695, 0.540, 0.243], [0.849, 0.319, 0.241], [0.463, 0.145, 0.244], [0.646, 0.515, 0.923], [0.866, 0.358, 0.926], [0.492, 0.124, 0.923], [0.627, 0.143, 0.423], [0.501, 0.370, 0.426], [0.864, 0.512, 0.424], [0.350, 0.505, 0.075], [0.142, 0.658, 0.075], [0.507, 0.865, 0.074], [0.355, 0.869, 0.576], [0.514, 0.647, 0.576], [0.156, 0.507, 0.573], [0.298, 0.832, 0.257], [0.533, 0.691, 0.255], [0.164, 0.474, 0.258], [0.308, 0.462, 0.756], [0.157, 0.698, 0.755], [0.536, 0.840, 0.757]]
}



Entry 5:
{
  "formula": "TaInSiS2O12",
  "functional": "PBE-GGA",
  "state": "optimized geometry",
  "e_form_mev_per_atom": -2357,
  "dft_energy_ev_per_fu": -119.51,
  "crystal_system": "monoclinic",
  "cell": [[-0.485, -8.795, -1.300], [3.756, 3.196, 7.468], [-20.415, -0.447, 10.629]],
  "species": ["Ta", "Ta", "Ta", "Ta", "Ta", "Ta", "In", "In", "In", "In", "In", "In", "Si", "Si", "Si", "Si", "Si", "Si", "S", "S", "S", "S", "S", "S", "S", "S", "S", "S", "S", "S", "O", "O", "O", "O", "O", "O", "O", "O", "O", "O", "O", "O", "O", "O", "O", "O", "O", "O", "O", "O", "O", "O", "O", "O", "O", "O", "O", "O", "O", "O", "O", "O", "O", "O", "O", "O", "O", "O", "O", "O", "O", "O", "O", "O", "O", "O", "O", "O", "O", "O", "O", "O", "O", "O", "O", "O", "O", "O", "O", "O", "O", "O", "O", "O", "O", "O", "O", "O", "O", "O", "O", "O"],
  "frac_coords": [[0.007, 0.017, 0.643], [0.010, 0.017, 0.143], [0.654, 0.327, 0.976], [0.672, 0.327, 0.476], [0.336, 0.669, 0.310], [0.333, 0.669, 0.810], [0.989, 0.007, 0.356], [0.018, 0.007, 0.856], [0.670, 0.335, 0.688], [0.666, 0.335, 0.188], [0.330, 0.663, 0.022], [0.333, 0.663, 0.522], [0.000, 0.294, 0.250], [0.294, 0.294, 0.750], [0.955, 0.339, 0.584], [0.384, 0.339, 0.084], [0.331, 0.947, 0.918], [0.616, 0.947, 0.418], [0.279, 0.991, 0.251], [0.711, 0.714, 0.250], [0.003, 0.714, 0.750], [0.712, 0.991, 0.751], [0.375, 0.048, 0.583], [0.676, 0.628, 0.584], [0.951, 0.628, 0.084], [0.673, 0.048, 0.083], [0.622, 0.664, 0.915], [0.040, 0.381, 0.916], [0.341, 0.381, 0.416], [0.042, 0.664, 0.415], [0.202, 0.013, 0.304], [0.815, 0.785, 0.303], [0.975, 0.180, 0.305], [0.205, 0.180, 0.805], [0.970, 0.785, 0.803], [0.811, 0.013, 0.804], [0.795, 0.961, 0.699], [0.161, 0.190, 0.692], [0.034, 0.825, 0.698], [0.791, 0.825, 0.198], [0.029, 0.190, 0.192], [0.166, 0.961, 0.199], [0.870, 0.360, 0.642], [0.477, 0.121, 0.635], [0.642, 0.522, 0.636], [0.879, 0.522, 0.136], [0.644, 0.121, 0.135], [0.489, 0.360, 0.142], [0.484, 0.308, 0.027], [0.841, 0.543, 0.031], [0.709, 0.165, 0.031], [0.456, 0.165, 0.531], [0.702, 0.543, 0.531], [0.825, 0.308, 0.527], [0.549, 0.690, 0.968], [0.148, 0.447, 0.968], [0.317, 0.843, 0.976], [0.526, 0.843, 0.476], [0.299, 0.447, 0.468], [0.141, 0.690, 0.468], [0.124, 0.627, 0.364], [0.489, 0.852, 0.361], [0.367, 0.495, 0.364], [0.129, 0.495, 0.864], [0.363, 0.852, 0.861], [0.503, 0.627, 0.864], [0.018, 0.810, 0.403], [0.807, 0.979, 0.413], [0.205, 0.204, 0.406], [0.999, 0.204, 0.906], [0.173, 0.979, 0.913], [0.792, 0.810, 0.903], [0.961, 0.154, 0.594], [0.198, 0.034, 0.591], [0.840, 0.798, 0.593], [0.958, 0.798, 0.093], [0.836, 0.034, 0.091], [0.193, 0.154, 0.094], [0.681, 0.134, 0.742], [0.483, 0.325, 0.738], [0.863, 0.539, 0.743], [0.675, 0.539, 0.243], [0.843, 0.325, 0.238], [0.453, 0.134, 0.242], [0.641, 0.504, 0.924], [0.873, 0.382, 0.925], [0.516, 0.143, 0.928], [0.628, 0.143, 0.428], [0.508, 0.382, 0.425], [0.864, 0.504, 0.424], [0.344, 0.490, 0.072], [0.127, 0.659, 0.076], [0.530, 0.875, 0.074], [0.345, 0.875, 0.574], [0.532, 0.659, 0.576], [0.146, 0.490, 0.572], [0.291, 0.827, 0.258], [0.535, 0.705, 0.259], [0.179, 0.483, 0.263], [0.304, 0.483, 0.763], [0.170, 0.705, 0.759], [0.537, 0.827, 0.758]]
}



Entry 6:
{
  "formula": "TaIn3SiS5O24",
  "functional": "PBE-GGA",
  "state": "optimized geometry",
  "e_form_mev_per_atom": -2128,
  "dft_energy_ev_per_fu": -220.85,
  "crystal_system": "triclinic",
  "cell": [[-4.335, -6.776, -3.808], [4.637, -1.320, 7.532], [-18.854, 5.103, 12.362]],
  "species": ["Ta", "Ta", "Ta", "In", "In", "In", "In", "In", "In", "In", "In", "In", "Si", "Si", "Si", "S", "S", "S", "S", "S", "S", "S", "S", "S", "S", "S", "S", "S", "S", "S", "O", "O", "O", "O", "O", "O", "O", "O", "O", "O", "O", "O", "O", "O", "O", "O", "O", "O", "O", "O", "O", "O", "O", "O", "O", "O", "O", "O", "O", "O", "O", "O", "O", "O", "O", "O", "O", "O", "O", "O", "O", "O", "O", "O", "O", "O", "O", "O", "O", "O", "O", "O", "O", "O", "O", "O", "O", "O", "O", "O", "O", "O", "O", "O", "O", "O", "O", "O", "O", "O", "O", "O"],
  "frac_coords": [[0.671, 0.338, 0.975], [0.332, 0.673, 0.309], [0.331, 0.657, 0.817], [0.008, 0.003, 0.351], [0.993, 0.998, 0.857], [0.998, 0.999, 0.649], [0.007, 0.998, 0.144], [0.668, 0.335, 0.686], [0.658, 0.325, 0.187], [0.665, 0.332, 0.478], [0.337, 0.663, 0.020], [0.335, 0.667, 0.521], [0.291, 0.008, 0.249], [0.623, 0.668, 0.919], [0.047, 0.378, 0.919], [0.706, 0.708, 0.251], [0.001, 0.295, 0.251], [0.292, 0.295, 0.750], [0.006, 0.710, 0.750], [0.701, 0.997, 0.750], [0.959, 0.332, 0.583], [0.374, 0.041, 0.583], [0.668, 0.626, 0.583], [0.951, 0.617, 0.083], [0.668, 0.044, 0.082], [0.380, 0.334, 0.082], [0.338, 0.956, 0.917], [0.623, 0.954, 0.415], [0.333, 0.380, 0.416], [0.045, 0.665, 0.416], [0.214, 0.032, 0.309], [0.807, 0.786, 0.304], [0.967, 0.189, 0.303], [0.215, 0.186, 0.801], [0.975, 0.789, 0.801], [0.814, 0.031, 0.799], [0.772, 0.960, 0.696], [0.186, 0.225, 0.697], [0.038, 0.815, 0.697], [0.769, 0.819, 0.200], [0.043, 0.228, 0.200], [0.165, 0.949, 0.193], [0.881, 0.363, 0.635], [0.483, 0.120, 0.635], [0.637, 0.518, 0.635], [0.874, 0.514, 0.136], [0.644, 0.121, 0.135], [0.483, 0.362, 0.135], [0.471, 0.311, 0.031], [0.836, 0.520, 0.031], [0.689, 0.156, 0.031], [0.451, 0.148, 0.531], [0.698, 0.548, 0.531], [0.850, 0.301, 0.530], [0.546, 0.707, 0.975], [0.151, 0.465, 0.976], [0.305, 0.854, 0.969], [0.548, 0.850, 0.468], [0.308, 0.458, 0.470], [0.152, 0.695, 0.469], [0.139, 0.643, 0.365], [0.507, 0.860, 0.364], [0.356, 0.492, 0.365], [0.139, 0.510, 0.861], [0.371, 0.873, 0.865], [0.492, 0.636, 0.861], [0.022, 0.814, 0.409], [0.794, 0.973, 0.406], [0.177, 0.210, 0.410], [0.025, 0.197, 0.904], [0.195, 0.984, 0.905], [0.813, 0.810, 0.904], [0.976, 0.178, 0.591], [0.201, 0.023, 0.591], [0.823, 0.798, 0.591], [0.953, 0.783, 0.085], [0.828, 0.032, 0.088], [0.208, 0.175, 0.085], [0.680, 0.150, 0.741], [0.469, 0.322, 0.742], [0.853, 0.534, 0.742], [0.682, 0.537, 0.243], [0.861, 0.332, 0.243], [0.487, 0.160, 0.244], [0.627, 0.484, 0.930], [0.852, 0.360, 0.929], [0.500, 0.128, 0.926], [0.633, 0.123, 0.420], [0.493, 0.367, 0.421], [0.876, 0.503, 0.421], [0.361, 0.487, 0.077], [0.124, 0.642, 0.075], [0.512, 0.874, 0.075], [0.357, 0.869, 0.576], [0.512, 0.643, 0.576], [0.131, 0.488, 0.576], [0.310, 0.829, 0.266], [0.524, 0.684, 0.264], [0.164, 0.471, 0.265], [0.309, 0.470, 0.760], [0.163, 0.694, 0.760], [0.526, 0.843, 0.760]]
}